Record 1
NaZnAsH4O6, optimized geometry, DFT PBE-GGA; ΔE_f = -1.5882 eV/atom; excess energy over the best structure of this formula in the dataset = 0.000 eV/atom; energy with MP2020 corrections = -5.473 eV/atom; space group = P-1 (2)
1.0
5.754 0.000 0.000
-0.150 6.216 0.000
-0.200 -0.300 7.946
H O Zn As Na
8 12 2 2 2
direct
0.750 0.795 0.231
0.541 0.905 0.149
0.459 0.095 0.851
0.868 0.389 0.974
0.250 0.205 0.769
0.938 0.397 0.167
0.062 0.603 0.833
0.132 0.611 0.026
0.833 0.325 0.081
0.894 0.757 0.417
0.258 0.968 0.262
0.106 0.243 0.583
0.648 0.264 0.438
0.742 0.032 0.738
0.676 0.819 0.118
0.775 0.485 0.746
0.167 0.675 0.919
0.352 0.736 0.562
0.225 0.515 0.254
0.324 0.181 0.882
0.687 0.746 0.612
0.313 0.254 0.388
0.813 0.251 0.618
0.187 0.749 0.382
0.500 0.500 0.000
0.000 0.000 0.000

Record 2
Na3Zn4As3H12O19, optimized geometry, DFT PBE-GGA; ΔE_f = -1.6217 eV/atom; energy with MP2020 corrections = -5.468 eV/atom; space group = R3c (161)
1.0
9.492 -5.554 0.000
9.492 5.554 0.000
6.242 0.000 9.054
O Na H Zn As
38 6 24 8 6
direct
0.573 0.573 0.573
0.135 0.388 0.939
0.134 0.962 0.809
0.307 0.665 0.846
0.073 0.073 0.073
0.440 0.327 0.856
0.696 0.049 0.806
0.346 0.165 0.807
0.962 0.809 0.134
0.049 0.806 0.696
0.169 0.132 0.458
0.439 0.888 0.635
0.809 0.134 0.962
0.807 0.346 0.165
0.827 0.940 0.356
0.388 0.939 0.135
0.958 0.632 0.669
0.939 0.135 0.388
0.846 0.307 0.665
0.635 0.439 0.888
0.196 0.306 0.549
0.665 0.846 0.307
0.888 0.635 0.439
0.462 0.634 0.309
0.669 0.958 0.632
0.356 0.827 0.940
0.549 0.196 0.306
0.632 0.669 0.958
0.940 0.356 0.827
0.458 0.169 0.132
0.856 0.440 0.327
0.165 0.807 0.346
0.634 0.309 0.462
0.306 0.549 0.196
0.309 0.462 0.634
0.327 0.856 0.440
0.132 0.458 0.169
0.806 0.696 0.049
0.561 0.448 0.164
0.448 0.164 0.561
0.948 0.061 0.664
0.664 0.948 0.061
0.164 0.561 0.448
0.061 0.664 0.948
0.676 0.621 0.884
0.185 0.250 0.510
0.119 0.300 0.646
0.176 0.384 0.121
0.510 0.185 0.250
0.452 0.234 0.031
0.952 0.531 0.734
0.734 0.952 0.531
0.384 0.121 0.176
0.621 0.884 0.676
0.121 0.176 0.384
0.031 0.452 0.234
0.646 0.119 0.300
0.010 0.750 0.685
0.619 0.146 0.800
0.685 0.010 0.750
0.531 0.734 0.952
0.884 0.676 0.621
0.146 0.800 0.619
0.250 0.510 0.185
0.300 0.646 0.119
0.750 0.685 0.010
0.800 0.619 0.146
0.234 0.031 0.452
0.499 0.499 0.499
0.999 0.999 0.999
0.292 0.005 0.990
0.505 0.792 0.490
0.990 0.292 0.005
0.792 0.490 0.505
0.005 0.990 0.292
0.490 0.505 0.792
0.808 0.304 0.338
0.804 0.308 0.838
0.838 0.804 0.308
0.338 0.808 0.304
0.308 0.838 0.804
0.304 0.338 0.808

Record 3
AsHPbO4, optimized geometry, DFT PBE-GGA; ΔE_f = -1.6434 eV/atom; excess energy over the best structure of this formula in the dataset = 0.005 eV/atom; energy with MP2020 corrections = -6.151 eV/atom; space group = P2/c (13)
1.0
6.790 0.000 0.000
0.000 4.973 0.000
0.000 0.528 5.912
O As Pb H
8 2 2 2
direct
0.358 0.640 0.946
0.930 0.248 0.390
0.642 0.640 0.446
0.642 0.360 0.054
0.358 0.360 0.554
0.930 0.752 0.110
0.070 0.752 0.610
0.070 0.248 0.890
0.208 0.500 0.750
0.792 0.500 0.250
0.797 0.000 0.750
0.203 0.000 0.250
0.500 0.500 0.500
0.500 0.500 0.000

Record 4
AsHPbO4, optimized geometry, DFT PBE-GGA; ΔE_f = -1.6482 eV/atom; piezoelectric modulus e_max = 1.08 C/m²; excess energy over the best structure of this formula in the dataset = 0.000 eV/atom; energy with MP2020 corrections = -6.156 eV/atom; space group = Pc (7)
1.0
6.880 0.000 0.000
0.000 4.989 0.000
0.000 0.569 5.928
O Pb As H
8 2 2 2
direct
0.068 0.750 0.606
0.645 0.641 0.448
0.932 0.750 0.106
0.069 0.248 0.888
0.351 0.361 0.557
0.355 0.641 0.948
0.649 0.361 0.057
0.931 0.248 0.388
0.802 0.997 0.745
0.198 0.997 0.245
0.206 0.507 0.758
0.794 0.507 0.258
0.525 0.481 0.012
0.475 0.481 0.512

Record 5
ZnAsHPbO5, optimized geometry, DFT PBE-GGA; ΔE_f = -1.6868 eV/atom; piezoelectric modulus e_max = 0.30 C/m²; energy with MP2020 corrections = -5.883 eV/atom; space group = P2_12_12_1 (19)
1.0
6.198 0.000 0.000
0.000 7.810 0.000
0.000 0.000 9.476
O Zn H As Pb
20 4 4 4 4
direct
0.505 0.115 0.562
0.439 0.296 0.077
0.739 0.611 0.206
0.061 0.704 0.577
0.239 0.889 0.794
0.761 0.389 0.706
0.773 0.857 0.778
0.727 0.143 0.278
0.495 0.615 0.938
0.995 0.885 0.062
0.007 0.554 0.926
0.227 0.357 0.722
0.005 0.385 0.438
0.561 0.796 0.423
0.993 0.054 0.574
0.261 0.111 0.294
0.273 0.643 0.222
0.507 0.946 0.074
0.939 0.204 0.923
0.493 0.446 0.426
0.731 0.270 0.488
0.231 0.230 0.512
0.769 0.730 0.988
0.269 0.770 0.012
0.512 0.004 0.511
0.012 0.496 0.489
0.988 0.996 0.011
0.488 0.504 0.989
0.986 0.377 0.815
0.514 0.623 0.315
0.486 0.123 0.185
0.014 0.877 0.685
0.966 0.869 0.329
0.466 0.631 0.671
0.534 0.131 0.829
0.034 0.369 0.171

Record 6
RbAs4H3O12, optimized geometry, DFT PBE-GGA; ΔE_f = -1.6309 eV/atom; excess energy over the best structure of this formula in the dataset = 0.000 eV/atom; energy with MP2020 corrections = -6.089 eV/atom; space group = P1 (1)
1.0
5.194 0.002 0.891
0.103 6.452 3.306
-0.082 0.034 8.061
H O As Rb
3 12 4 1
direct
0.977 0.500 0.980
0.491 0.658 0.300
0.508 0.343 0.703
0.091 0.534 0.110
0.496 0.811 0.246
0.887 0.469 0.885
0.690 0.035 0.380
0.220 0.111 0.264
0.780 0.892 0.736
0.314 0.962 0.622
0.889 0.287 0.490
0.585 0.632 0.604
0.112 0.710 0.513
0.500 0.190 0.754
0.414 0.368 0.392
0.148 0.324 0.311
0.597 0.126 0.563
0.845 0.688 0.679
0.400 0.880 0.434
0.003 0.995 0.001

Record 7
RbAs2H5O8, optimized geometry, DFT PBE-GGA; ΔE_f = -1.5740 eV/atom; energy with MP2020 corrections = -5.752 eV/atom; space group = Pbca (61)
1.0
-7.649 2.271 -1.359
-2.862 -4.728 8.209
3.180 17.350 11.102
O H As Rb
64 40 16 8
direct
0.528 0.201 0.908
0.968 0.624 0.326
0.532 0.124 0.326
0.845 0.416 0.444
0.841 0.247 0.304
0.711 0.854 0.966
0.642 0.167 0.198
0.289 0.146 0.034
0.532 0.376 0.826
0.701 0.474 0.271
0.201 0.474 0.229
0.972 0.701 0.908
0.159 0.753 0.696
0.845 0.084 0.944
0.032 0.376 0.674
0.659 0.747 0.304
0.655 0.584 0.944
0.211 0.854 0.534
0.155 0.916 0.056
0.468 0.876 0.674
0.701 0.026 0.771
0.142 0.333 0.802
0.799 0.974 0.271
0.659 0.753 0.804
0.159 0.747 0.196
0.142 0.167 0.302
0.968 0.876 0.826
0.887 0.846 0.536
0.113 0.346 0.964
0.358 0.833 0.802
0.858 0.833 0.698
0.211 0.646 0.034
0.299 0.974 0.229
0.358 0.667 0.302
0.972 0.799 0.408
0.289 0.354 0.534
0.799 0.526 0.771
0.345 0.416 0.056
0.341 0.247 0.196
0.655 0.916 0.444
0.028 0.299 0.092
0.387 0.654 0.464
0.789 0.146 0.466
0.468 0.624 0.174
0.841 0.253 0.804
0.887 0.654 0.036
0.613 0.154 0.036
0.711 0.646 0.466
0.028 0.201 0.592
0.472 0.799 0.092
0.858 0.667 0.198
0.472 0.701 0.592
0.032 0.124 0.174
0.345 0.084 0.556
0.789 0.354 0.966
0.113 0.154 0.464
0.155 0.584 0.556
0.299 0.526 0.729
0.341 0.253 0.696
0.201 0.026 0.729
0.613 0.346 0.536
0.642 0.333 0.698
0.387 0.846 0.964
0.528 0.299 0.408
0.770 0.105 0.787
0.014 0.848 0.535
0.730 0.605 0.787
0.770 0.395 0.287
0.202 0.011 0.050
0.538 0.286 0.867
0.962 0.786 0.867
0.482 0.805 0.802
0.270 0.395 0.213
0.982 0.695 0.198
0.230 0.605 0.713
0.486 0.152 0.035
0.702 0.489 0.950
0.730 0.895 0.287
0.298 0.511 0.050
0.538 0.214 0.367
0.038 0.214 0.133
0.514 0.848 0.965
0.518 0.195 0.198
0.986 0.348 0.965
0.514 0.652 0.465
0.482 0.695 0.302
0.518 0.305 0.698
0.986 0.152 0.465
0.486 0.348 0.535
0.462 0.786 0.633
0.298 0.989 0.550
0.018 0.305 0.802
0.270 0.105 0.713
0.014 0.652 0.035
0.202 0.489 0.550
0.462 0.714 0.133
0.962 0.714 0.367
0.702 0.011 0.450
0.038 0.286 0.633
0.230 0.895 0.213
0.798 0.511 0.450
0.018 0.195 0.302
0.798 0.989 0.950
0.982 0.805 0.698
0.810 0.703 0.961
0.190 0.297 0.039
0.190 0.203 0.539
0.298 0.631 0.222
0.798 0.869 0.778
0.310 0.703 0.539
0.810 0.797 0.461
0.202 0.131 0.222
0.690 0.297 0.461
0.798 0.631 0.278
0.310 0.797 0.039
0.702 0.131 0.278
0.202 0.369 0.722
0.702 0.369 0.778
0.690 0.203 0.961
0.298 0.869 0.722
0.203 0.431 0.382
0.703 0.431 0.118
0.703 0.069 0.618
0.797 0.931 0.118
0.797 0.569 0.618
0.203 0.069 0.882
0.297 0.569 0.882
0.297 0.931 0.382

Record 8
SrAsH3O5, optimized geometry, DFT PBE-GGA; ΔE_f = -1.9555 eV/atom; energy with MP2020 corrections = -6.082 eV/atom; space group = Pbca (61)
1.0
7.600 0.000 0.000
0.000 8.516 0.000
0.000 0.000 14.453
As H Sr O
8 24 8 40
direct
0.854 0.946 0.886
0.354 0.554 0.114
0.646 0.054 0.386
0.146 0.054 0.114
0.854 0.554 0.386
0.354 0.946 0.614
0.646 0.446 0.886
0.146 0.446 0.614
0.104 0.601 0.779
0.279 0.253 0.194
0.396 0.101 0.779
0.554 0.833 0.122
0.896 0.399 0.221
0.446 0.167 0.878
0.946 0.333 0.122
0.279 0.247 0.694
0.104 0.899 0.279
0.604 0.899 0.221
0.896 0.101 0.721
0.221 0.747 0.694
0.396 0.399 0.279
0.946 0.167 0.622
0.554 0.667 0.622
0.604 0.601 0.721
0.721 0.747 0.806
0.446 0.333 0.378
0.779 0.247 0.806
0.221 0.753 0.194
0.721 0.753 0.306
0.054 0.833 0.378
0.054 0.667 0.878
0.779 0.253 0.306
0.864 0.678 0.083
0.136 0.322 0.917
0.864 0.822 0.583
0.364 0.822 0.917
0.364 0.678 0.417
0.136 0.178 0.417
0.636 0.322 0.583
0.636 0.178 0.083
0.203 0.338 0.715
0.797 0.838 0.785
0.989 0.162 0.057
0.638 0.597 0.655
0.138 0.597 0.845
0.297 0.662 0.215
0.427 0.120 0.660
0.489 0.338 0.943
0.329 0.462 0.547
0.138 0.903 0.345
0.797 0.662 0.285
0.511 0.838 0.557
0.638 0.903 0.155
0.427 0.380 0.160
0.171 0.962 0.547
0.362 0.403 0.345
0.927 0.120 0.840
0.073 0.620 0.660
0.862 0.403 0.155
0.573 0.620 0.840
0.862 0.097 0.655
0.829 0.462 0.953
0.573 0.880 0.340
0.511 0.662 0.057
0.297 0.838 0.715
0.329 0.038 0.047
0.362 0.097 0.845
0.489 0.162 0.443
0.927 0.380 0.340
0.011 0.662 0.443
0.011 0.838 0.943
0.171 0.538 0.047
0.989 0.338 0.557
0.671 0.962 0.953
0.703 0.338 0.785
0.671 0.538 0.453
0.829 0.038 0.453
0.073 0.880 0.160
0.703 0.162 0.285
0.203 0.162 0.215

Q: Which value of ΔE_f does entry 6 give?
A: -1.6309 eV/atom

Q: energy with MP2020 corrections of number 3 (AsHPbO4)?
A: -6.151 eV/atom

Q: The highest ΔE_f belongs to which entry?
A: RbAs2H5O8